1.
6
Lattice="3.833 0.000 0.000 0.000 3.833 0.000 0.000 0.000 5.513" Properties=species:S:1:pos:R:3 comment="GGA-PBE EuPaO4, optimized geometry" formation_enthalpy_0k_ev_per_atom=-3.841 dft_energy_ev_per_atom=-9.976 pbc="T T T"
Eu 0.000 0.000 0.000
O 1.917 0.000 1.470
O 0.000 1.917 1.470
O 0.000 1.917 4.042
O 1.917 0.000 4.042
Pa 1.917 1.917 2.756

***

2.
22
Lattice="1.470 -6.965 2.440 -5.300 -5.327 -0.409 0.709 -5.642 -4.929" Properties=species:S:1:pos:R:3 comment="GGA-PBE Eu2Pb2O7, optimized geometry" formation_enthalpy_0k_ev_per_atom=-2.164 dft_energy_ev_per_atom=-7.415 pbc="T T T"
O 0.207 -3.036 -2.239
O 0.847 -6.068 -1.177
O -3.672 -6.911 -0.861
O -0.279 -7.089 -3.414
O -2.099 -5.355 -2.417
O 0.551 -11.023 -2.036
O -1.561 -8.967 -1.449
O -2.842 -10.845 0.517
O 0.539 -3.612 0.968
O 0.151 -7.836 0.748
O -1.768 -5.931 0.790
O -2.341 -13.450 -2.173
O -3.272 -10.098 -3.645
O -2.408 -2.899 -0.272
Eu 0.699 -8.545 -1.606
Eu -2.686 -7.726 -3.031
Eu -1.951 -11.209 -1.811
Eu -2.305 -8.388 0.653
Pb -0.390 -2.242 -0.362
Pb -3.040 -4.905 -0.567
Pb 0.345 -5.724 0.858
Pb -0.036 -5.063 -2.826

***

> What is the formula in the second record?

Eu2Pb2O7